The following is a DFT calculation (PBE-GGA) of a geometry-optimized AlZn10B8Rh18 structure.

```
data_AlZn10B8Rh18
_chemical_formula_sum 'Al2 Zn20 B16 Rh36'
_cell_length_a 17.8750
_cell_length_b 17.8750
_cell_length_c 2.8850
_cell_angle_alpha 90.00
_cell_angle_beta 90.00
_cell_angle_gamma 90.00
_symmetry_space_group_name_H-M 'P 4/m b m'
_symmetry_Int_Tables_number 127
_symmetry_space_group_name_Hall '-P 4 2ab'
loop_
_atom_site_label
_atom_site_type_symbol
_atom_site_fract_x
_atom_site_fract_y
_atom_site_fract_z
Al1 Al 0.0000 0.0000 0.0000
Zn1 Zn 0.0319 0.1882 0.0000
Zn2 Zn 0.0502 0.4498 0.0000
Zn3 Zn 0.1689 0.3311 0.0000
Zn4 Zn 0.2092 0.7092 0.0000
B1 B 0.0389 0.6659 0.0000
B2 B 0.1242 0.8336 0.0000
Rh1 Rh 0.0478 0.3256 0.5000
Rh2 Rh 0.0669 0.9022 0.5000
Rh3 Rh 0.0824 0.5824 0.5000
Rh4 Rh 0.0874 0.7451 0.5000
Rh5 Rh 0.1602 0.2107 0.5000
```

Properties
formation energy: -0.457 eV per atom


The following is a DFT calculation (PBE-GGA) of a geometry-optimized Al2B2Ru3 structure.

```
data_Al2B2Ru3
_chemical_formula_sum 'Al4 B4 Ru6'
_cell_length_a 3.0390
_cell_length_b 17.8263
_cell_length_c 2.9426
_cell_angle_alpha 90.00
_cell_angle_beta 90.00
_cell_angle_gamma 90.00
_symmetry_space_group_name_H-M 'C m m m'
_symmetry_Int_Tables_number 65
_symmetry_space_group_name_Hall '-C 2 2'
loop_
_atom_site_label
_atom_site_type_symbol
_atom_site_fract_x
_atom_site_fract_y
_atom_site_fract_z
Al1 Al 0.0000 0.0790 0.0000
B1 B 0.0000 0.2224 0.0000
Ru1 Ru 0.0000 0.3250 0.5000
Ru2 Ru 0.0000 0.5000 0.5000
```

Properties
formation energy: -0.471 eV per atom


The following is a DFT calculation (PBE-GGA) of a geometry-optimized Ta3AlB8 structure.

```
data_Ta3AlB8
_chemical_formula_sum 'Ta3 Al1 B8'
_cell_length_a 3.0611
_cell_length_b 3.0611
_cell_length_c 13.5443
_cell_angle_alpha 90.00
_cell_angle_beta 90.00
_cell_angle_gamma 120.00
_symmetry_space_group_name_H-M 'P 6/m m m'
_symmetry_Int_Tables_number 191
_symmetry_space_group_name_Hall '-P 6 2'
loop_
_atom_site_label
_atom_site_type_symbol
_atom_site_fract_x
_atom_site_fract_y
_atom_site_fract_z
Ta1 Ta 0.0000 0.0000 0.0000
Ta2 Ta 0.0000 0.0000 0.2458
Al1 Al 0.0000 0.0000 0.5000
B1 B 0.3333 0.6667 0.1245
B2 B 0.3333 0.6667 0.3791
```

Properties
formation energy: -0.495 eV per atom


The following is a DFT calculation (PBE-GGA) of a geometry-optimized Ba4Al5 structure.

```
data_Ba4Al5
_chemical_formula_sum 'Ba8 Al10'
_cell_length_a 6.1204
_cell_length_b 6.1204
_cell_length_c 17.9543
_cell_angle_alpha 90.00
_cell_angle_beta 90.00
_cell_angle_gamma 120.00
_symmetry_space_group_name_H-M 'P 63/m m c'
_symmetry_Int_Tables_number 194
_symmetry_space_group_name_Hall '-P 6c 2c'
loop_
_atom_site_label
_atom_site_type_symbol
_atom_site_fract_x
_atom_site_fract_y
_atom_site_fract_z
Ba1 Ba 0.0000 0.0000 0.1437
Ba2 Ba 0.3333 0.6667 0.0703
Al1 Al 0.0193 0.5096 0.2500
Al2 Al 0.3333 0.6667 0.6375
```

Properties
formation energy: -0.222 eV per atom


The following is a DFT calculation (PBE-GGA) of a geometry-optimized Ba21Al40 structure.

```
data_Ba21Al40
_chemical_formula_sum 'Ba21 Al40'
_cell_length_a 10.6187
_cell_length_b 10.6187
_cell_length_c 17.3506
_cell_angle_alpha 90.00
_cell_angle_beta 90.00
_cell_angle_gamma 120.00
_symmetry_space_group_name_H-M 'P 3 1 m'
_symmetry_Int_Tables_number 157
_symmetry_space_group_name_Hall 'P 3 -2'
loop_
_atom_site_label
_atom_site_type_symbol
_atom_site_fract_x
_atom_site_fract_y
_atom_site_fract_z
Ba1 Ba 0.0000 0.0000 0.0000
Ba2 Ba 0.0000 0.0000 0.2156
Ba3 Ba 0.0000 0.3233 0.4999
Ba4 Ba 0.0000 0.3293 0.8936
Ba5 Ba 0.0000 0.3321 0.2839
Ba6 Ba 0.0000 0.6649 0.7857
Ba7 Ba 0.0000 0.6706 0.5724
Ba8 Ba 0.3333 0.6667 0.2128
Ba9 Ba 0.3333 0.6667 0.9980
Al1 Al 0.0000 0.0000 0.4264
Al2 Al 0.0000 0.0000 0.5850
Al3 Al 0.0000 0.0000 0.7924
Al4 Al 0.0000 0.1950 0.6867
Al5 Al 0.0000 0.4893 0.1043
Al6 Al 0.0000 0.6657 0.9904
Al7 Al 0.0000 0.6692 0.2227
Al8 Al 0.0000 0.7590 0.3716
Al9 Al 0.1556 0.3333 0.1037
Al10 Al 0.1634 0.4999 0.6776
Al11 Al 0.1837 0.6631 0.4016
Al12 Al 0.3333 0.6667 0.5455
Al13 Al 0.3333 0.6667 0.7955
```

Properties
formation energy: -0.243 eV per atom


The following is a DFT calculation (PBE-GGA) of a geometry-optimized BaAlCuBiO5 structure.

```
data_BaAlCuBiO5
_chemical_formula_sum 'Ba1 Al1 Cu1 Bi1 O5'
_cell_length_a 3.7382
_cell_length_b 3.7382
_cell_length_c 9.3716
_cell_angle_alpha 90.00
_cell_angle_beta 90.00
_cell_angle_gamma 90.00
_symmetry_space_group_name_H-M 'P 4 m m'
_symmetry_Int_Tables_number 99
_symmetry_space_group_name_Hall 'P 4 -2'
loop_
_atom_site_label
_atom_site_type_symbol
_atom_site_fract_x
_atom_site_fract_y
_atom_site_fract_z
Ba1 Ba 0.0000 0.0000 0.0000
Al1 Al 0.0000 0.0000 0.3867
Cu1 Cu 0.5000 0.5000 0.2235
Bi1 Bi 0.5000 0.5000 0.6421
O1 O 0.0000 0.5000 0.2509
O2 O 0.0000 0.5000 0.5106
O3 O 0.5000 0.5000 0.9145
```

Properties
formation energy: -1.895 eV per atom


The following is a DFT calculation (PBE-GGA) of a geometry-optimized Ba2AlBi3O8 structure.

```
data_Ba2AlBi3O8
_chemical_formula_sum 'Ba2 Al1 Bi3 O8'
_cell_length_a 4.3120
_cell_length_b 4.3120
_cell_length_c 13.6327
_cell_angle_alpha 90.00
_cell_angle_beta 90.00
_cell_angle_gamma 90.00
_symmetry_space_group_name_H-M 'P 4/m m m'
_symmetry_Int_Tables_number 123
_symmetry_space_group_name_Hall '-P 4 2'
loop_
_atom_site_label
_atom_site_type_symbol
_atom_site_fract_x
_atom_site_fract_y
_atom_site_fract_z
Ba1 Ba 0.0000 0.0000 0.1469
Al1 Al 0.0000 0.0000 0.5000
Bi1 Bi 0.5000 0.5000 0.0000
Bi2 Bi 0.5000 0.5000 0.3498
O1 O 0.0000 0.5000 0.0000
O2 O 0.0000 0.5000 0.4065
O3 O 0.5000 0.5000 0.1764
```

Properties
formation energy: -1.844 eV per atom


The following is a DFT calculation (PBE-GGA) of a geometry-optimized BaAl2H10C2O13 structure.

```
data_BaAl2H10C2O13
_chemical_formula_sum 'Ba2 Al4 H20 C4 O26'
_cell_length_a 5.6788
_cell_length_b 9.9837
_cell_length_c 10.6908
_cell_angle_alpha 115.52
_cell_angle_beta 95.63
_cell_angle_gamma 92.73
_symmetry_space_group_name_H-M 'P -1'
_symmetry_Int_Tables_number 2
_symmetry_space_group_name_Hall '-P 1'
loop_
_atom_site_label
_atom_site_type_symbol
_atom_site_fract_x
_atom_site_fract_y
_atom_site_fract_z
Ba1 Ba 0.2108 0.1443 0.1917
Al1 Al 0.0000 0.0000 0.5000
Al2 Al 0.0000 0.5000 0.5000
Al3 Al 0.5000 0.0000 0.5000
Al4 Al 0.5000 0.5000 0.5000
H1 H 0.0526 0.2023 0.9170
H2 H 0.1142 0.5234 0.2122
H3 H 0.1594 0.7620 0.9862
H4 H 0.1954 0.7950 0.3124
H5 H 0.2233 0.3973 0.9012
H6 H 0.2407 0.2926 0.5118
H7 H 0.2515 0.6938 0.4575
H8 H 0.2984 0.2025 0.6662
H9 H 0.3328 0.5820 0.1650
H10 H 0.4334 0.3293 0.9557
C1 C 0.2856 0.9516 0.7162
C2 C 0.3126 0.6080 0.7715
O1 O 0.0440 0.8380 0.0336
O2 O 0.0753 0.9640 0.6617
O3 O 0.0945 0.5793 0.7068
O4 O 0.1622 0.5881 0.1689
O5 O 0.2224 0.8671 0.4112
O6 O 0.2326 0.3613 0.4669
O7 O 0.2557 0.6143 0.4877
O8 O 0.2731 0.1458 0.5635
O9 O 0.3046 0.9243 0.8224
O10 O 0.3283 0.3174 0.8706
O11 O 0.3505 0.6614 0.9052
O12 O 0.4775 0.9665 0.6622
O13 O 0.4945 0.5822 0.7015
```

Properties
excess energy over the best structure of this formula in the dataset: 0 meV per atom
formation energy: -1.967 eV per atom


The following is a DFT calculation (PBE-GGA) of a geometry-optimized BaAl2H10C2O13 structure.

```
data_BaAl2H10C2O13
_chemical_formula_sum 'Ba2 Al4 H20 C4 O26'
_cell_length_a 5.5148
_cell_length_b 11.8082
_cell_length_c 12.3097
_cell_angle_alpha 113.85
_cell_angle_beta 93.51
_cell_angle_gamma 97.44
_symmetry_space_group_name_H-M 'P -1'
_symmetry_Int_Tables_number 2
_symmetry_space_group_name_Hall '-P 1'
loop_
_atom_site_label
_atom_site_type_symbol
_atom_site_fract_x
_atom_site_fract_y
_atom_site_fract_z
Ba1 Ba 0.2100 0.3529 0.2041
Al1 Al 0.0000 0.5000 0.0000
Al2 Al 0.0000 0.5000 0.5000
Al3 Al 0.5000 0.5000 0.0000
Al4 Al 0.5000 0.5000 0.5000
H1 H 0.1104 0.8387 0.3089
H2 H 0.1589 0.7749 0.3907
H3 H 0.2077 0.4503 0.8899
H4 H 0.2140 0.8960 0.7420
H5 H 0.2315 0.0460 0.5879
H6 H 0.2394 0.3944 0.6088
H7 H 0.3020 0.7298 0.1513
H8 H 0.3970 0.1735 0.6507
H9 H 0.4000 0.0215 0.4126
H10 H 0.4497 0.0904 0.4387
C1 C 0.3258 0.7436 0.6488
C2 C 0.3519 0.7332 0.9980
O1 O 0.0005 0.9974 0.8681
O2 O 0.1012 0.6906 0.6152
O3 O 0.1387 0.0997 0.9093
O4 O 0.2251 0.1327 0.6411
O5 O 0.2418 0.5108 0.4106
O6 O 0.2422 0.7694 0.0997
O7 O 0.2447 0.8101 0.3415
O8 O 0.2564 0.4698 0.5948
O9 O 0.2612 0.5285 0.1020
O10 O 0.2799 0.7658 0.9182
O11 O 0.3721 0.8679 0.7240
O12 O 0.4794 0.3358 0.0108
O13 O 0.4833 0.3063 0.3786
```

Properties
excess energy over the best structure of this formula in the dataset: 398 meV per atom
formation energy: -1.569 eV per atom


The following is a DFT calculation (PBE-GGA) of a geometry-optimized Ba2LiAlC4N8 structure.

```
data_Ba2LiAlC4N8
_chemical_formula_sum 'Ba8 Li4 Al4 C16 N32'
_cell_length_a 6.9711
_cell_length_b 11.9349
_cell_length_c 12.1013
_cell_angle_alpha 90.00
_cell_angle_beta 90.00
_cell_angle_gamma 90.00
_symmetry_space_group_name_H-M 'P 21 21 21'
_symmetry_Int_Tables_number 19
_symmetry_space_group_name_Hall 'P 2ac 2ab'
loop_
_atom_site_label
_atom_site_type_symbol
_atom_site_fract_x
_atom_site_fract_y
_atom_site_fract_z
Ba1 Ba 0.2060 0.1221 0.0865
Ba2 Ba 0.2145 0.6212 0.9068
Li1 Li 0.0327 0.8752 0.3301
Al1 Al 0.0270 0.3784 0.6676
C1 C 0.1594 0.5819 0.6234
C2 C 0.1596 0.0768 0.3886
C3 C 0.2185 0.3284 0.8574
C4 C 0.2364 0.8184 0.1358
N1 N 0.0583 0.0126 0.4405
N2 N 0.0736 0.5018 0.5772
N3 N 0.1073 0.3987 0.8132
N4 N 0.1231 0.8914 0.1621
N5 N 0.1442 0.2541 0.6052
N6 N 0.1723 0.7373 0.4015
N7 N 0.2366 0.8574 0.8339
N8 N 0.2414 0.6585 0.6692
```

Properties
formation energy: -0.872 eV per atom